[1]
Compound: TlSn2Br5
Source: the Materials Project
Functional: PBE-GGA
Structure: relaxed

Cell and atoms, written as POSCAR:
```
TlSn2Br5
1.0
-4.2280 4.2280 7.4395
4.2280 -4.2280 7.4395
4.2280 4.2280 -7.4395
Tl Sn Br
2 4 10
Direct
0.2500 0.2500 0.0000 Tl
0.7500 0.7500 0.0000 Tl
0.1756 0.6756 0.8512 Sn
0.3244 0.1756 0.5000 Sn
0.6756 0.8244 0.5000 Sn
0.8244 0.3244 0.1488 Sn
0.0000 0.0000 0.0000 Br
0.0269 0.2038 0.5000 Br
0.2038 0.7038 0.1769 Br
0.2962 0.4731 0.5000 Br
0.4731 0.9731 0.1769 Br
0.5000 0.5000 0.0000 Br
0.5269 0.0269 0.8231 Br
0.7038 0.5269 0.5000 Br
0.7962 0.2962 0.8231 Br
0.9731 0.7962 0.5000 Br
```

Its space group is I4/mcm (140). The value obtained for the density is 5.25 g/cm³. The raw total energy comes out at -3.129 eV per atom. The energy of formation comes out at -1.14 eV/atom.


[2]
Compound: SrBr3
Source: the Materials Project
Functional: PBE-GGA
Structure: relaxed

Cell and atoms, written as POSCAR:
```
SrBr3
1.0
6.7641 0.0000 0.0000
-3.3820 5.8578 0.0000
0.0000 0.0000 6.0243
Sr Br
2 6
Direct
0.3333 0.6667 0.2500 Sr
0.6667 0.3333 0.7500 Sr
0.1727 0.3454 0.7500 Br
0.1727 0.8273 0.7500 Br
0.3454 0.1727 0.2500 Br
0.6546 0.8273 0.7500 Br
0.8273 0.1727 0.2500 Br
0.8273 0.6546 0.2500 Br
```

Its space group is P6_3/mmc (194). The value obtained for the density is 4.55 g/cm³. The raw total energy comes out at -2.940 eV per atom. The energy of formation comes out at -1.69 eV/atom. The total magnetic moment is 0.21 μB per formula unit.


[3]
Compound: SrBr2
Source: the Materials Project
Functional: PBE-GGA
Structure: relaxed

Cell and atoms, written as POSCAR:
```
SrBr2
1.0
11.5263 0.0000 0.0000
0.0000 4.8018 0.0000
0.0000 0.0000 7.9059
Sr Br
4 8
Direct
0.1684 0.2500 0.1272 Sr
0.3316 0.7500 0.6272 Sr
0.6684 0.2500 0.3728 Sr
0.8316 0.7500 0.8728 Sr
0.1088 0.7500 0.8757 Br
0.1302 0.7500 0.3675 Br
0.3698 0.2500 0.8675 Br
0.3912 0.2500 0.3757 Br
0.6088 0.7500 0.6243 Br
0.6302 0.7500 0.1325 Br
0.8698 0.2500 0.6325 Br
0.8912 0.2500 0.1243 Br
```

Its space group is Pnma (62). The value obtained for the density is 3.76 g/cm³. The raw total energy comes out at -3.804 eV per atom. The energy of formation comes out at -2.51 eV/atom.


[4]
Compound: SrBr2
Source: the Materials Project
Functional: PBE-GGA
Structure: relaxed

Cell and atoms, written as POSCAR:
```
SrBr2
1.0
7.1663 0.0000 0.0000
0.0000 7.1663 0.0000
0.0000 0.0000 4.7157
Sr Br
2 4
Direct
0.0000 0.0000 0.0000 Sr
0.5000 0.5000 0.5000 Sr
0.1961 0.1961 0.5000 Br
0.3039 0.6961 0.0000 Br
0.6961 0.3039 0.0000 Br
0.8039 0.8039 0.5000 Br
```

Its space group is P4_2/mnm (136). The value obtained for the density is 3.39 g/cm³. The raw total energy comes out at -3.788 eV per atom. The energy of formation comes out at -2.49 eV/atom.


[5]
Compound: SrBr2
Source: the Materials Project
Functional: PBE-GGA
Structure: relaxed

Cell and atoms, written as POSCAR:
```
SrBr2
1.0
11.7513 0.0000 0.0000
0.0000 11.7513 0.0000
0.0000 0.0000 7.2638
Sr Br
10 20
Direct
0.0851 0.6041 0.2479 Sr
0.1041 0.9149 0.7521 Sr
0.2500 0.2500 0.1506 Sr
0.3959 0.5851 0.7521 Sr
0.4149 0.8959 0.2479 Sr
0.5851 0.1041 0.7521 Sr
0.6041 0.4149 0.2479 Sr
0.7500 0.7500 0.8494 Sr
0.8959 0.0851 0.2479 Sr
0.9149 0.3959 0.7521 Sr
0.0403 0.3479 0.3762 Br
0.0427 0.1609 0.9035 Br
0.1521 0.0403 0.3762 Br
0.1609 0.4573 0.9035 Br
0.2500 0.7500 0.0000 Br
0.2500 0.7500 0.5000 Br
0.3391 0.0427 0.9035 Br
0.3479 0.4597 0.3762 Br
0.4573 0.3391 0.9035 Br
0.4597 0.1521 0.3762 Br
0.5403 0.8479 0.6238 Br
0.5427 0.6609 0.0965 Br
0.6521 0.5403 0.6238 Br
0.6609 0.9573 0.0965 Br
0.7500 0.2500 0.0000 Br
0.7500 0.2500 0.5000 Br
0.8391 0.5427 0.0965 Br
0.8479 0.9597 0.6238 Br
0.9573 0.8391 0.0965 Br
0.9597 0.6521 0.6238 Br
```

Its space group is P4/n (85). The value obtained for the density is 4.10 g/cm³. The raw total energy comes out at -3.790 eV per atom. The energy of formation comes out at -2.49 eV/atom.


[6]
Compound: SrThBr6
Source: the Materials Project
Functional: PBE-GGA
Structure: relaxed

Cell and atoms, written as POSCAR:
```
SrThBr6
1.0
9.3786 0.0000 0.0000
0.0000 4.2855 0.0000
0.0000 0.0000 13.4706
Sr Th Br
2 2 12
Direct
0.2500 0.0000 0.2310 Sr
0.7500 0.0000 0.7690 Sr
0.2500 0.5000 0.7484 Th
0.7500 0.5000 0.2516 Th
0.0458 0.5000 0.3434 Br
0.0766 0.0000 0.8525 Br
0.2500 0.0000 0.5981 Br
0.2500 0.5000 0.0756 Br
0.4234 0.0000 0.8525 Br
0.4542 0.5000 0.3434 Br
0.5458 0.5000 0.6566 Br
0.5766 0.0000 0.1475 Br
0.7500 0.0000 0.4019 Br
0.7500 0.5000 0.9244 Br
0.9234 0.0000 0.1475 Br
0.9542 0.5000 0.6566 Br
```

Its space group is Pmma (51). The value obtained for the density is 4.90 g/cm³. The raw total energy comes out at -4.217 eV per atom. The energy of formation comes out at -2.25 eV/atom. The total magnetic moment is 0.01 μB per formula unit.